! PBE MgTe4Mo2W2Se2S2, relaxed; values from VASP
&SYSTEM
  ibrav = 0, nat = 13, ntyp = 6
/
ATOMIC_SPECIES
Mg 24.30 Mg.upf
Te 127.60 Te.upf
Mo 95.94 Mo.upf
W 183.84 W.upf
Se 78.96 Se.upf
S 32.06 S.upf
CELL_PARAMETERS angstrom
3.4093 0.0000 0.0000
1.7041 2.9530 0.0000
0.5981 0.3810 43.4090
ATOMIC_POSITIONS crystal
Mg 0.0000 0.0000 0.0000
Te 0.0092 0.0127 0.6855
Te 0.6652 0.6675 0.3354
Te 0.6751 0.6789 0.2493
Te 0.9992 0.0012 0.7720
Mo 0.0034 0.0063 0.2924
Mo 0.9966 0.9980 0.9111
W 0.6712 0.6738 0.1089
W 0.6708 0.6737 0.7287
Se 0.0003 0.0024 0.1469
Se 0.0090 0.0124 0.0707
S 0.6591 0.6599 0.9457
S 0.6676 0.6698 0.8769
! - Energy above the most stable polymorph in this dataset: 0.28 eV/f.u.
! - Energy of formation: -0.41 eV per atom
! - Final energy: -6.259 eV per atom

! PBE MgTe4Mo2W2Se2S2, relaxed; values from VASP
&SYSTEM
  ibrav = 0, nat = 13, ntyp = 6
/
ATOMIC_SPECIES
Mg 24.30 Mg.upf
Te 127.60 Te.upf
Mo 95.94 Mo.upf
W 183.84 W.upf
Se 78.96 Se.upf
S 32.06 S.upf
CELL_PARAMETERS angstrom
3.3886 0.0000 0.0000
-1.6943 2.9346 0.0000
0.0000 0.0000 46.5110
ATOMIC_POSITIONS crystal
Mg 0.0000 0.0000 0.0000
Te 0.3333 0.6667 0.4261
Te 0.3333 0.6667 0.5073
Te 0.6667 0.3333 0.8566
Te 0.6667 0.3333 0.9377
Mo 0.3333 0.6667 0.2792
Mo 0.3333 0.6667 0.8969
W 0.6667 0.3333 0.1006
W 0.6667 0.3333 0.4667
Se 0.6667 0.3333 0.2436
Se 0.6667 0.3333 0.3147
S 0.3333 0.6667 0.0680
S 0.3333 0.6667 0.1329
! - Energy above the most stable polymorph in this dataset: 0.24 eV/f.u.
! - Energy of formation: -0.41 eV per atom
! - Final energy: -6.262 eV per atom

! PBE MgTe4Mo2W2Se2S2, relaxed; values from VASP
&SYSTEM
  ibrav = 0, nat = 13, ntyp = 6
/
ATOMIC_SPECIES
Mg 24.30 Mg.upf
Te 127.60 Te.upf
Mo 95.94 Mo.upf
W 183.84 W.upf
Se 78.96 Se.upf
S 32.06 S.upf
CELL_PARAMETERS angstrom
3.3900 0.0000 0.0000
-1.6950 2.9358 0.0000
0.0000 0.0000 46.7755
ATOMIC_POSITIONS crystal
Mg 0.0000 0.0000 0.0000
Te 0.3333 0.6667 0.0649
Te 0.3333 0.6667 0.1459
Te 0.3333 0.6667 0.6831
Te 0.3333 0.6667 0.7633
Mo 0.3333 0.6667 0.5354
Mo 0.6667 0.3333 0.7232
W 0.3333 0.6667 0.9020
W 0.6667 0.3333 0.1056
Se 0.6667 0.3333 0.5001
Se 0.6667 0.3333 0.5707
S 0.6667 0.3333 0.8699
S 0.6667 0.3333 0.9343
! - Energy above the most stable polymorph in this dataset: 0.27 eV/f.u.
! - Energy of formation: -0.41 eV per atom
! - Final energy: -6.260 eV per atom

! PBE MgTe4Mo3WSe2S2, relaxed; values from VASP
&SYSTEM
  ibrav = 0, nat = 13, ntyp = 6
/
ATOMIC_SPECIES
Mg 24.30 Mg.upf
Te 127.60 Te.upf
Mo 95.94 Mo.upf
W 183.84 W.upf
Se 78.96 Se.upf
S 32.06 S.upf
CELL_PARAMETERS angstrom
3.3993 0.0000 0.0000
-1.6997 2.9439 0.0000
0.0000 0.0000 45.5527
ATOMIC_POSITIONS crystal
Mg 0.0000 0.0000 0.0000
Te 0.3333 0.6667 0.0715
Te 0.3333 0.6667 0.1544
Te 0.6667 0.3333 0.5014
Te 0.6667 0.3333 0.5837
Mo 0.3333 0.6667 0.5425
Mo 0.3333 0.6667 0.9111
Mo 0.6667 0.3333 0.7308
W 0.6667 0.3333 0.1131
Se 0.3333 0.6667 0.6946
Se 0.3333 0.6667 0.7670
S 0.6667 0.3333 0.8784
S 0.6667 0.3333 0.9445
! - Energy above the most stable polymorph in this dataset: 0.48 eV/f.u.
! - Energy of formation: -0.43 eV per atom
! - Final energy: -6.115 eV per atom

! PBE MgTe2Mo3WSe4S2, relaxed; values from VASP
&SYSTEM
  ibrav = 0, nat = 13, ntyp = 6
/
ATOMIC_SPECIES
Mg 24.30 Mg.upf
Te 127.60 Te.upf
Mo 95.94 Mo.upf
W 183.84 W.upf
Se 78.96 Se.upf
S 32.06 S.upf
CELL_PARAMETERS angstrom
3.3379 0.0000 0.0000
-1.6686 2.8909 0.0000
0.0000 0.0000 38.0380
ATOMIC_POSITIONS crystal
Mg 0.0000 0.0000 0.0000
Te 0.6114 0.3441 0.7268
Te 0.6114 0.3441 0.8266
Mo 0.6113 0.3441 0.2130
Mo 0.6113 0.3441 0.5888
Mo 0.9447 0.0107 0.7768
W 0.9447 0.0107 0.4010
Se 0.6114 0.3441 0.3569
Se 0.6114 0.3441 0.4450
Se 0.9447 0.0108 0.1692
Se 0.9447 0.0108 0.2569
S 0.9447 0.0108 0.5490
S 0.9447 0.0108 0.6287
! - Energy above the most stable polymorph in this dataset: 0.47 eV/f.u.
! - Energy of formation: -0.53 eV per atom
! - Final energy: -6.274 eV per atom

! PBE MgTe4Mo2W2Se2S2, relaxed; values from VASP
&SYSTEM
  ibrav = 0, nat = 13, ntyp = 6
/
ATOMIC_SPECIES
Mg 24.30 Mg.upf
Te 127.60 Te.upf
Mo 95.94 Mo.upf
W 183.84 W.upf
Se 78.96 Se.upf
S 32.06 S.upf
CELL_PARAMETERS angstrom
3.3912 0.0000 0.0000
1.6955 2.9370 0.0000
0.0006 -0.0001 38.6700
ATOMIC_POSITIONS crystal
Mg 0.0000 0.0000 0.0000
Te 0.5188 0.7014 0.1745
Te 0.5188 0.7014 0.2721
Te 0.5188 0.7014 0.5504
Te 0.5186 0.7014 0.6475
Mo 0.5189 0.7013 0.4111
Mo 0.8520 0.0347 0.5990
W 0.5189 0.7013 0.7870
W 0.8521 0.0347 0.2233
Se 0.8522 0.0346 0.7440
Se 0.8523 0.0346 0.8298
S 0.8522 0.0346 0.3722
S 0.8522 0.0346 0.4500
! - Energy above the most stable polymorph in this dataset: 0.68 eV/f.u.
! - Energy of formation: -0.38 eV per atom
! - Final energy: -6.228 eV per atom